(1)
A plane-wave DFT calculation with GGA-PBE was carried out for a relaxed SmGa2Pd2 crystal.

Cell and atoms, written as POSCAR:
```
SmGa2Pd2
1.0
5.9773 0.7460 0.5376
3.1239 -3.3906 3.9139
-4.0977 -0.7516 -4.3838
Sm Ga Pd
1 2 2
Cartesian
0.0000 0.0000 0.0000 Sm
5.6567 -1.6437 2.7667 Ga
3.4446 -1.0009 1.6848 Ga
3.2151 -0.6639 -0.8103 Pd
1.7884 -2.7323 0.8779 Pd
```

## Properties
SG: I4/mmm (139)
Formation energy: -0.7831 eV/atom
VASP energy: -5.010 eV/atom

=====

(2)
A plane-wave DFT calculation with GGA-PBE was carried out for a relaxed SrGa3Pd crystal.

Cell and atoms, written as POSCAR:
```
SrGa3Pd
1.0
-3.9677 1.8169 -4.4008
-0.4909 -5.8491 1.9898
-3.9103 1.7771 4.2592
Sr Ga Pd
2 6 2
Cartesian
-4.2404 -2.7154 3.6829 Sr
-4.1286 0.4603 -1.8348 Sr
-5.7273 0.5630 0.9500 Ga
-2.6417 -2.8180 0.8982 Ga
-3.2063 -2.8997 -1.7339 Ga
-5.1615 -2.0111 0.3957 Ga
-1.2523 -1.1325 -0.6772 Ga
-3.2074 -0.2439 1.4524 Ga
-6.5613 2.4018 -0.5829 Pd
-1.8077 -4.6568 2.4310 Pd
```

## Properties
SG: Cmcm (63)
Formation energy: -0.6149 eV/atom
VASP energy: -3.806 eV/atom